Material: AlSBr3N
Method: DFT, GGA-PBE
State: relaxed

Volume in Å³ per atom: 32.24
Energy of formation from the pure elements in meV per atom: -677
Energy in eV/atom: -4.138
Size of the total moment in μB/atom: 0.000

Structure (extended XYZ):
```
24
Lattice="7.553 0.000 0.000 0.000 10.842 0.000 -3.904 0.000 9.450" Properties=species:S:1:pos:R:3 pbc="T T T"
Al 0.370 1.338 3.232
Al -1.582 4.083 7.957
Al 5.231 6.759 1.492
Al 3.279 9.504 6.217
S 0.617 5.725 1.028
S -1.335 10.539 5.753
S 4.983 0.304 3.697
S 3.031 5.117 8.421
Br -0.874 7.092 3.282
Br -2.826 9.171 8.007
Br -0.924 2.144 8.939
Br 1.028 3.277 4.215
Br 0.038 5.649 7.475
Br 1.990 10.614 2.750
Br 1.658 0.228 6.699
Br 3.610 5.193 1.974
Br 2.620 7.565 5.235
Br 4.573 8.698 0.510
Br 6.475 1.671 1.443
Br 4.523 3.750 6.168
N -1.026 0.452 4.291
N -2.978 4.969 9.015
N 6.627 5.873 0.434
N 4.675 10.390 5.159
```



Material: NbAlBr8
Method: DFT, GGA-PBE
State: relaxed

Volume in Å³ per atom: 38.76
Energy of formation from the pure elements in meV per atom: -1408
Energy in eV/atom: -3.675

Structure (extended XYZ):
```
20
Lattice="4.520 -9.339 0.000 4.520 9.339 0.000 0.000 0.000 9.182" Properties=species:S:1:pos:R:3 pbc="T T T"
Nb 4.520 7.281 6.886
Nb 4.520 -7.281 2.295
Al 4.520 3.493 6.886
Al 4.520 -3.493 2.295
Br 2.720 5.060 6.886
Br 4.520 6.895 0.154
Br 4.520 6.895 4.437
Br 1.896 0.556 2.295
Br 1.896 -0.556 6.886
Br 4.520 2.251 4.973
Br 4.520 2.251 8.799
Br 6.320 5.060 6.886
Br 2.720 -5.060 2.295
Br 4.520 -2.251 0.382
Br 4.520 -2.251 4.208
Br 7.144 0.556 2.295
Br 7.144 -0.556 6.886
Br 4.520 -6.895 4.745
Br 4.520 -6.895 9.028
Br 6.320 -5.060 2.295
```



Material: PrAl3Br12
Method: DFT, GGA-PBE
State: relaxed

Volume in Å³ per atom: 40.10
Energy of formation from the pure elements in meV per atom: -1743
Energy in eV/atom: -3.571

Structure (extended XYZ):
```
48
Lattice="10.815 0.000 0.000 -5.407 9.366 0.000 0.000 0.000 19.005" Properties=species:S:1:pos:R:3 pbc="T T T"
Pr -3.950 6.842 3.168
Pr 1.457 2.524 9.503
Pr 7.900 0.000 15.838
Al -0.535 0.926 12.670
Al 1.070 0.000 6.335
Al -0.173 5.937 4.203
Al -0.179 6.547 16.874
Al 0.352 6.248 10.538
Al 5.228 2.819 14.802
Al 5.235 3.429 8.467
Al 5.759 3.118 2.132
Al 4.873 8.440 0.000
Br -0.957 2.170 14.603
Br -0.246 1.833 6.925
Br -2.290 5.509 5.276
Br -3.697 8.662 0.589
Br -2.334 6.715 16.172
Br 1.711 0.703 12.081
Br -3.050 9.110 8.268
Br -1.451 6.704 11.840
Br 2.357 0.256 4.403
Br -0.289 4.879 8.684
Br 0.759 3.987 3.501
Br 0.327 4.757 18.175
Br -1.037 7.177 2.348
Br 1.781 4.628 11.611
Br 3.074 2.651 15.504
Br 1.326 6.676 15.019
Br 1.124 7.271 5.505
Br 3.118 3.857 7.394
Br 0.509 8.594 17.947
Br 3.956 2.662 0.831
Br 4.370 2.189 10.322
Br 1.575 8.029 9.836
Br 5.916 0.772 13.729
Br 5.118 4.487 3.987
Br 6.531 2.095 7.166
Br 6.982 1.336 2.834
Br 6.734 2.690 16.657
Br 4.007 7.452 1.933
Br 5.735 4.609 13.501
Br 4.451 7.196 17.073
Br 3.943 8.236 13.260
Br 6.166 5.379 9.169
Br 5.161 7.533 5.746
Br 7.189 4.738 1.059
Br 9.350 1.130 18.416
Br 9.414 1.913 10.738
```



Material: RbAlBr4
Method: DFT, GGA-PBE
State: relaxed

Volume in Å³ per atom: 39.27
Energy of formation from the pure elements in meV per atom: -1779
Energy in eV/atom: -3.302

Structure (extended XYZ):
```
24
Lattice="12.234 0.000 0.000 0.000 7.670 0.000 0.000 0.000 10.045" Properties=species:S:1:pos:R:3 pbc="T T T"
Rb 2.259 1.917 1.606
Rb 3.858 5.752 6.629
Rb 8.376 1.917 3.416
Rb 9.975 5.752 8.439
Al 0.765 1.917 6.919
Al 5.352 5.752 1.897
Al 6.882 1.917 8.148
Al 11.469 5.752 3.126
Br 1.014 0.033 8.288
Br 1.014 3.802 8.288
Br 1.367 5.752 4.030
Br 2.484 1.917 5.358
Br 3.633 5.752 0.335
Br 4.750 1.917 9.053
Br 5.103 3.867 3.266
Br 5.103 7.637 3.266
Br 7.131 0.033 6.779
Br 7.131 3.802 6.779
Br 7.484 5.752 0.992
Br 8.601 1.917 9.710
Br 9.749 5.752 4.687
Br 10.867 1.917 6.015
Br 11.220 3.867 1.757
Br 11.220 7.637 1.757
```



Material: Al3Te3Br
Method: DFT, GGA-PBE
State: relaxed

Volume in Å³ per atom: 33.61
Energy of formation from the pure elements in meV per atom: -637
Energy in eV/atom: -3.747
Size of the total moment in μB/atom: 0.000

Structure (extended XYZ):
```
28
Lattice="11.233 0.000 0.000 0.000 4.142 0.000 0.000 0.000 20.229" Properties=species:S:1:pos:R:3 pbc="T T T"
Al 0.545 1.036 2.027
Al 1.794 1.036 12.803
Al 1.896 1.036 20.084
Al 3.721 3.107 9.969
Al 3.822 3.107 2.688
Al 5.071 3.107 12.141
Al 6.162 1.036 8.088
Al 7.411 1.036 17.541
Al 7.512 1.036 10.260
Al 9.337 3.107 0.145
Al 9.439 3.107 7.427
Al 10.687 3.107 18.202
Te 1.058 1.036 17.530
Te 1.966 1.036 10.141
Te 2.560 1.036 3.835
Te 3.056 3.107 13.950
Te 3.650 3.107 0.027
Te 4.558 3.107 7.416
Te 6.675 1.036 12.814
Te 7.583 1.036 20.202
Te 8.177 1.036 6.279
Te 8.672 3.107 16.394
Te 9.267 3.107 10.088
Te 10.175 3.107 2.699
Br 0.416 3.107 6.754
Br 5.200 1.036 16.869
Br 6.032 3.107 3.360
Br 10.817 1.036 13.475
```



Material: TiAl2Br8
Method: DFT, GGA-PBE
State: relaxed

Volume in Å³ per atom: 37.06
Energy of formation from the pure elements in meV per atom: -1496
Energy relative to the lowest polymorph listed for this composition in eV per atom: 0.000
Energy in eV/atom: -3.697
Size of the total moment in μB/atom: 0.182

Structure (extended XYZ):
```
22
Lattice="9.531 -4.344 0.000 9.531 4.344 0.000 -7.827 0.000 9.846" Properties=species:S:1:pos:R:3 pbc="T T T"
Ti 3.661 4.321 7.385
Ti 7.575 -4.321 2.462
Al 4.248 2.241 4.643
Al 10.901 2.241 0.280
Al 0.335 -2.241 9.566
Al 6.988 -2.241 5.204
Br -1.219 0.151 5.071
Br 5.735 2.383 2.796
Br 2.694 -0.151 0.147
Br 1.909 2.366 8.080
Br 5.414 2.366 6.689
Br 3.038 0.329 4.425
Br 9.415 2.383 2.127
Br -0.875 -0.329 9.348
Br 12.111 0.329 0.499
Br 1.822 -2.383 7.719
Br 8.198 -0.329 5.422
Br 5.822 -2.366 3.157
Br 9.327 -2.366 1.766
Br 8.542 0.151 9.699
Br 5.501 -2.383 7.050
Br 12.455 -0.151 4.776
```